A geometry-optimized Lu4Co3 structure, computed with r²SCAN.

It has space group P-3 (No. 147), with a = 10.8974 Å, b = 10.8974 Å, c = 3.9664 Å, α = 90.00°, β = 90.00° and γ = 120.00°. The inequivalent atoms are Lu at (0.0237, 0.7761, 0.2502), Lu at (0.1337, 0.5137, 0.2493), Co at (0.0000, 0.0000, 0.0000), Co at (0.1555, 0.7164, 0.7513) and Co at (0.3333, 0.6667, 0.7490).

The value obtained for the density is 10.71 g cm⁻³. Its formation energy is -0.132 eV/atom. The uncorrected energy comes out at -27.564 eV per atom. The value obtained for the calculated volume is 19.4 Å³ per atom. The magnetic moment comes out at 0.2 μB per formula unit. Its crystal system is trigonal.

A geometry-optimized Lu2CoRh structure, computed with r²SCAN.

It has space group Fm-3m (No. 225), with a = 6.6101 Å, b = 6.6101 Å, c = 6.6101 Å, α = 90.00°, β = 90.00° and γ = 90.00°. The inequivalent atoms are Lu at (0.2500, 0.2500, 0.2500), Co at (0.0000, 0.0000, 0.0000) and Rh at (0.0000, 0.0000, 0.5000).

The value obtained for the density is 11.77 g cm⁻³. Its formation energy is -0.657 eV/atom. The uncorrected energy comes out at -29.039 eV per atom. The value obtained for the calculated volume is 18.1 Å³ per atom. The magnetic moment comes out at 0.5 μB per formula unit. Its crystal system is cubic.

A geometry-optimized Lu2CoRu structure, computed with r²SCAN.

It has space group Fm-3m (No. 225), with a = 6.5376 Å, b = 6.5376 Å, c = 6.5376 Å, α = 90.00°, β = 90.00° and γ = 90.00°. The inequivalent atoms are Lu at (0.2500, 0.2500, 0.2500), Co at (0.0000, 0.0000, 0.0000) and Ru at (0.0000, 0.0000, 0.5000).

The value obtained for the density is 12.12 g cm⁻³. Its formation energy is -0.366 eV/atom. The uncorrected energy comes out at -29.071 eV per atom. The value obtained for the calculated volume is 17.5 Å³ per atom. The magnetic moment comes out at 0.0 μB per formula unit. Its crystal system is cubic.

A geometry-optimized LuScCo2 structure, computed with r²SCAN.

It has space group Fm-3m (No. 225), with a = 6.4090 Å, b = 6.4090 Å, c = 6.4090 Å, α = 90.00°, β = 90.00° and γ = 90.00°. The inequivalent atoms are Lu at (0.0000, 0.0000, 0.0000), Sc at (0.0000, 0.0000, 0.5000) and Co at (0.2500, 0.2500, 0.2500).

The value obtained for the density is 8.52 g cm⁻³. Its formation energy is -0.258 eV/atom. The uncorrected energy comes out at -19.244 eV per atom. The value obtained for the calculated volume is 16.5 Å³ per atom. The magnetic moment comes out at 0.7 μB per formula unit. Its crystal system is cubic.

A geometry-optimized Lu2Co3Si5 structure, computed with r²SCAN.

It has space group C2/c (No. 15), with a = 10.5471 Å, b = 11.2565 Å, c = 5.3980 Å, α = 90.00°, β = 118.38° and γ = 90.00°. The inequivalent atoms are Lu at (0.2323, 0.1377, 0.2347), Co at (0.0000, 0.4968, 0.7500), Co at (0.0984, 0.1393, 0.6266), Si at (0.0000, 0.0121, 0.2500), Si at (0.0000, 0.2721, 0.2500), Si at (0.0000, 0.2873, 0.7500) and Si at (0.1652, 0.4020, 0.1664).

The value obtained for the density is 7.86 g cm⁻³. Its formation energy is -0.715 eV/atom. The uncorrected energy comes out at -16.688 eV per atom. The value obtained for the calculated volume is 14.1 Å³ per atom. The magnetic moment comes out at 0.6 μB per formula unit. Its crystal system is monoclinic.

A geometry-optimized LuCo5Si3 structure, computed with r²SCAN.

It has space group P6_3/m (No. 176), with a = 14.4987 Å, b = 14.4987 Å, c = 3.6404 Å, α = 90.00°, β = 90.00° and γ = 120.00°. The inequivalent atoms are Lu at (0.1011, 0.7064, 0.2500), Co at (0.0284, 0.9028, 0.2500), Co at (0.0496, 0.2686, 0.2500), Co at (0.0744, 0.5339, 0.7500), Co at (0.1482, 0.4133, 0.7500), Co at (0.2250, 0.5724, 0.2500), Si at (0.0617, 0.4316, 0.2500), Si at (0.1170, 0.8689, 0.7500) and Si at (0.2386, 0.6818, 0.7500).

The value obtained for the density is 8.33 g cm⁻³. Its formation energy is -0.521 eV/atom. The uncorrected energy comes out at -15.029 eV per atom. The value obtained for the calculated volume is 12.3 Å³ per atom. The magnetic moment comes out at 1.2 μB per formula unit. Its crystal system is hexagonal.

A geometry-optimized Lu5Co4Si14 structure, computed with r²SCAN.

It has space group P2_1/c (No. 14), with a = 12.2275 Å, b = 7.7030 Å, c = 7.6346 Å, α = 90.00°, β = 98.75° and γ = 90.00°. The inequivalent atoms are Lu at (0.0000, 0.0000, 0.0000), Lu at (0.3644, 0.2480, 0.3421), Lu at (0.3647, 0.7491, 0.3398), Co at (0.9997, 0.1278, 0.6290), Co at (0.2500, 0.9998, 0.0608), Si at (0.0000, 0.1645, 0.3360), Si at (0.1774, 0.2264, 0.5499), Si at (0.1777, 0.0058, 0.7689), Si at (0.1781, 0.5059, 0.8179), Si at (0.1776, 0.7262, 0.0378), Si at (0.4393, 0.0007, 0.1084) and Si at (0.4418, 0.0003, 0.6130).

The value obtained for the density is 7.03 g cm⁻³. Its formation energy is -0.620 eV/atom. The uncorrected energy comes out at -16.541 eV per atom. The value obtained for the calculated volume is 15.5 Å³ per atom. The magnetic moment comes out at 1.3 μB per formula unit. Its crystal system is monoclinic.

A geometry-optimized Lu3Co2Si3 structure, computed with r²SCAN.

It has space group Cmcm (No. 63), with a = 4.0519 Å, b = 10.0464 Å, c = 13.3248 Å, α = 90.00°, β = 90.00° and γ = 90.00°. The inequivalent atoms are Lu at (0.0000, 0.0832, 0.1112), Lu at (0.0000, 0.3644, 0.2500), Co at (0.0000, 0.2107, 0.5841), Si at (0.0000, 0.3311, 0.7500) and Si at (0.0000, 0.3819, 0.0394).

The value obtained for the density is 8.90 g cm⁻³. Its formation energy is -0.786 eV/atom. The uncorrected energy comes out at -21.665 eV per atom. The value obtained for the calculated volume is 17.0 Å³ per atom. The magnetic moment comes out at 1.6 μB per formula unit. Its crystal system is orthorhombic.

A geometry-optimized Lu6Co2Sn structure, computed with r²SCAN.

It has space group Immm (No. 71), with a = 9.1600 Å, b = 9.3666 Å, c = 9.6040 Å, α = 90.00°, β = 90.00° and γ = 90.00°. The inequivalent atoms are Lu at (0.0000, 0.2111, 0.2364), Lu at (0.1877, 0.5000, 0.1744), Lu at (0.2159, 0.3163, 0.5000), Co at (0.0000, 0.3436, 0.0000), Co at (0.0000, 0.5000, 0.3856), Sn at (0.0000, 0.0000, 0.0000) and Sn at (0.0000, 0.0000, 0.5000).

The value obtained for the density is 10.37 g cm⁻³. Its formation energy is -0.356 eV/atom. The uncorrected energy comes out at -31.433 eV per atom. The value obtained for the calculated volume is 22.9 Å³ per atom. The magnetic moment comes out at 0.0 μB per formula unit. Its crystal system is orthorhombic.

A geometry-optimized MgCo2O4 structure, computed with r²SCAN.

It has space group Fd-3m (No. 227, origin choice 2), with a = 8.0839 Å, b = 8.0839 Å, c = 8.0839 Å, α = 90.00°, β = 90.00° and γ = 90.00°. The inequivalent atoms are Mg at (0.1250, 0.1250, 0.1250), Co at (0.0000, 0.0000, 0.5000) and O at (0.0139, 0.0139, 0.7361).

The value obtained for the density is 5.18 g cm⁻³. Its formation energy is -1.839 eV/atom. The uncorrected energy comes out at -9.629 eV per atom. The value obtained for the calculated volume is 9.4 Å³ per atom. The magnetic moment comes out at 0.0 μB per formula unit. Its crystal system is cubic.

A geometry-optimized MgCo6P4 structure, computed with r²SCAN.

It has space group P-6m2 (No. 187), with a = 6.5042 Å, b = 6.5042 Å, c = 3.3504 Å, α = 90.00°, β = 90.00° and γ = 120.00°. The inequivalent atoms are Mg at (0.0000, 0.0000, 0.0000), Co at (0.1994, 0.3989, 0.5000), Co at (0.5354, 0.0707, 0.0000), P at (0.3333, 0.6667, 0.0000) and P at (0.3706, 0.1853, 0.5000).

The value obtained for the density is 6.79 g cm⁻³. Its formation energy is -0.542 eV/atom. The uncorrected energy comes out at -11.414 eV per atom. The value obtained for the calculated volume is 11.2 Å³ per atom. The magnetic moment comes out at 2.0 μB per formula unit. Its crystal system is hexagonal.

A geometry-optimized Pr4Mg3Co2 structure, computed with r²SCAN.

It has space group P2/m (No. 10), with a = 7.8719 Å, b = 3.7542 Å, c = 8.5727 Å, α = 90.00°, β = 109.39° and γ = 90.00°. The inequivalent atoms are Pr at (0.0928, 0.0000, 0.2197), Pr at (0.3924, 0.0000, 0.6840), Mg at (0.0000, 0.5000, 0.5000), Mg at (0.2987, 0.5000, 0.0021) and Co at (0.3545, 0.5000, 0.4015).

The value obtained for the density is 5.24 g cm⁻³. Its formation energy is -0.039 eV/atom. The uncorrected energy comes out at -17.438 eV per atom. The value obtained for the calculated volume is 26.6 Å³ per atom. The magnetic moment comes out at 1.2 μB per formula unit. Its crystal system is monoclinic.